No. 1
! Li4MgNi3O8, optimized geometry, DFT PBE+U; values from VASP
&SYSTEM
  ibrav = 0, nat = 32, ntyp = 4
/
ATOMIC_SPECIES
Li 6.94 Li.upf
Mg 24.30 Mg.upf
Ni 58.69 Ni.upf
O 16.00 O.upf
ATOMIC_POSITIONS crystal
Li 0.2500 0.2500 0.2500
Li 0.7500 0.7500 0.7500
Li 0.2500 0.7500 0.7500
Li 0.7500 0.2500 0.2500
Li 0.0002 0.9999 0.5000
Li 0.4998 0.5001 0.0000
Li 0.9998 0.5000 0.0001
Li 0.5002 0.0000 0.5000
Mg 0.2500 0.2500 0.7500
Mg 0.7500 0.7500 0.2500
Ni 0.7498 0.2501 0.7500
Ni 0.0004 0.4998 0.4999
Ni 0.4996 0.0002 0.0000
Ni 0.2500 0.7500 0.2501
Ni 0.9997 0.9998 0.0000
Ni 0.5003 0.5001 0.5000
O 0.2495 0.7409 0.0157
O 0.7505 0.2408 0.5157
O 0.2505 0.7592 0.4843
O 0.7495 0.2592 0.9843
O 0.2494 0.2134 0.9988
O 0.7506 0.7133 0.4988
O 0.2506 0.2866 0.5012
O 0.7494 0.7867 0.0012
O 0.0159 0.5201 0.2608
O 0.5157 0.0202 0.7608
O 0.4842 0.9800 0.2392
O 0.9844 0.4797 0.7392
O 0.0157 0.9798 0.2392
O 0.5159 0.4799 0.7392
O 0.4843 0.5203 0.2608
O 0.9842 0.0200 0.7608
CELL_PARAMETERS angstrom
-2.9028 5.0279 -0.0002
-2.9225 -1.6875 4.8017
5.7388 3.3132 4.7161
! * energy of formation: -1713 meV/atom
! * final energy: -160.9 eV/cell
! * excess energy over the best structure of this formula in the dataset: 0.04 eV per formula unit


No. 2
! Li3MgV8O16, optimized geometry, DFT PBE+U; values from VASP
&SYSTEM
  ibrav = 0, nat = 28, ntyp = 4
/
ATOMIC_SPECIES
Li 6.94 Li.upf
Mg 24.30 Mg.upf
V 50.94 V.upf
O 16.00 O.upf
ATOMIC_POSITIONS crystal
Li 0.0007 0.0007 0.0007
Li 0.6248 0.6248 0.6248
Li 0.1222 0.1222 0.1222
Mg 0.8131 0.8131 0.8131
V 0.0729 0.0729 0.5505
V 0.3150 0.3150 0.3150
V 0.5002 0.5002 0.5002
V 0.0729 0.5505 0.0729
V 0.5505 0.0729 0.0729
V 0.5705 0.5705 0.0432
V 0.0432 0.5705 0.5705
V 0.5705 0.0432 0.5705
O 0.9641 0.4256 0.4256
O 0.4256 0.9641 0.4256
O 0.1926 0.1926 0.1926
O 0.4256 0.4256 0.9641
O 0.9304 0.9304 0.9304
O 0.6968 0.6968 0.1796
O 0.1796 0.6968 0.6968
O 0.6968 0.1796 0.6968
O 0.9211 0.4588 0.9211
O 0.4588 0.9211 0.9211
O 0.6895 0.6895 0.6895
O 0.9211 0.9211 0.4588
O 0.2071 0.2071 0.6598
O 0.4346 0.4346 0.4346
O 0.6598 0.2071 0.2071
O 0.2071 0.6598 0.2071
CELL_PARAMETERS angstrom
-9.2025 3.0330 3.5006
-10.0704 -2.0611 0.6914
-7.9770 -2.0534 6.1880
! * energy of formation: -2501 meV/atom
! * final energy: -204.6 eV/cell
! * crystal system: trigonal
! * excess energy over the best structure of this formula in the dataset: 1.25 eV per formula unit


No. 3
! Li3MgV8O16, optimized geometry, DFT PBE+U; values from VASP
&SYSTEM
  ibrav = 0, nat = 28, ntyp = 4
/
ATOMIC_SPECIES
Li 6.94 Li.upf
Mg 24.30 Mg.upf
V 50.94 V.upf
O 16.00 O.upf
ATOMIC_POSITIONS crystal
Li 0.9994 0.9994 0.0013
Li 0.6283 0.6283 0.1224
Li 0.1247 0.1247 0.6290
Mg 0.8143 0.8143 0.5635
V 0.5613 0.0614 0.3073
V 0.3113 0.3113 0.0664
V 0.5007 0.5007 0.4967
V 0.0625 0.0625 0.3107
V 0.0614 0.5613 0.3073
V 0.0534 0.5675 0.8145
V 0.5675 0.0534 0.8145
V 0.5634 0.5634 0.8149
O 0.4156 0.9709 0.1851
O 0.4231 0.4231 0.1782
O 0.1963 0.1963 0.4174
O 0.9709 0.4156 0.1851
O 0.9285 0.9285 0.2046
O 0.1690 0.6969 0.4332
O 0.6969 0.1690 0.4332
O 0.6977 0.6977 0.4334
O 0.9191 0.9191 0.7077
O 0.9282 0.4609 0.7065
O 0.7020 0.7020 0.9226
O 0.4609 0.9282 0.7065
O 0.6532 0.2028 0.9279
O 0.4272 0.4272 0.6989
O 0.2028 0.6532 0.9279
O 0.2104 0.2104 0.9331
CELL_PARAMETERS angstrom
3.7318 -4.6719 0.4724
5.5479 0.8427 2.1182
-0.3097 -2.8565 9.9132
! * energy of formation: -2545 meV/atom
! * final energy: -205.8 eV/cell
! * crystal system: monoclinic
! * excess energy over the best structure of this formula in the dataset: 0.00 eV per formula unit